[1]
# Mn2Hg5 | Materials Project | PBE | relaxed
# energy: -2.60 eV per atom
# E_form: 0.236 eV per atom
data_Mn2Hg5
_chemical_formula_sum 'Mn4 Hg10'
_cell_length_a 10.0051
_cell_length_b 10.0051
_cell_length_c 3.0170
_cell_angle_alpha 90.00
_cell_angle_beta 90.00
_cell_angle_gamma 90.00
_space_group_name_H-M_alt 'P 4/m b m'
_space_group_IT_number 127
_space_group_name_Hall '-P 4 2ab'
loop_
_atom_site_label
_atom_site_fract_x
_atom_site_fract_y
_atom_site_fract_z
Mn1 0.1806 0.3194 0.0000
Hg1 0.0000 0.5000 0.5000
Hg2 0.0642 0.7967 0.5000

[2]
# NbO | Materials Project | PBE | relaxed
# energy: -8.64 eV per atom
# E_form: -1.464 eV per atom
data_NbO
_chemical_formula_sum 'Nb1 O1'
_cell_length_a 2.9217
_cell_length_b 2.9217
_cell_length_c 3.8868
_cell_angle_alpha 90.00
_cell_angle_beta 90.00
_cell_angle_gamma 90.00
_space_group_name_H-M_alt 'P 4/m m m'
_space_group_IT_number 123
_space_group_name_Hall '-P 4 2'
loop_
_atom_site_label
_atom_site_fract_x
_atom_site_fract_y
_atom_site_fract_z
Nb1 0.0000 0.0000 0.0000
O1 0.0000 0.0000 0.5000

[3]
# Ca2InHg | Materials Project | PBE | relaxed
# energy: -2.27 eV per atom
# E_form: -0.508 eV per atom
data_Ca2InHg
_chemical_formula_sum 'Ca8 In4 Hg4'
_cell_length_a 7.6753
_cell_length_b 7.6753
_cell_length_c 7.6753
_cell_angle_alpha 90.00
_cell_angle_beta 90.00
_cell_angle_gamma 90.00
_space_group_name_H-M_alt 'F m -3 m'
_space_group_IT_number 225
_space_group_name_Hall '-F 4 2 3'
loop_
_atom_site_label
_atom_site_fract_x
_atom_site_fract_y
_atom_site_fract_z
Ca1 0.2500 0.2500 0.2500
In1 0.0000 0.0000 0.0000
Hg1 0.0000 0.0000 0.5000

[4]
# CuSnPd2 | Materials Project | PBE | relaxed
# energy: -4.96 eV per atom
# E_form: -0.339 eV per atom
data_CuSnPd2
_chemical_formula_sum 'Cu2 Sn2 Pd4'
_cell_length_a 3.9878
_cell_length_b 3.9878
_cell_length_c 7.9682
_cell_angle_alpha 90.00
_cell_angle_beta 90.00
_cell_angle_gamma 90.00
_space_group_name_H-M_alt 'P 4/m m m'
_space_group_IT_number 123
_space_group_name_Hall '-P 4 2'
loop_
_atom_site_label
_atom_site_fract_x
_atom_site_fract_y
_atom_site_fract_z
Cu1 0.0000 0.5000 0.0000
Sn1 0.0000 0.0000 0.2514
Pd1 0.0000 0.5000 0.5000
Pd2 0.5000 0.5000 0.2281

[5]
# Ta2Zn3O8 | Materials Project | PBE | relaxed
# energy: -7.37 eV per atom
# E_form: -2.634 eV per atom
data_Ta2Zn3O8
_chemical_formula_sum 'Ta8 Zn12 O32'
_cell_length_a 8.9695
_cell_length_b 8.5207
_cell_length_c 9.6501
_cell_angle_alpha 90.00
_cell_angle_beta 115.75
_cell_angle_gamma 90.00
_space_group_name_H-M_alt 'C 1 2/c 1'
_space_group_IT_number 15
_space_group_name_Hall '-C 2yc'
loop_
_atom_site_label
_atom_site_fract_x
_atom_site_fract_y
_atom_site_fract_z
Ta1 0.0804 0.1412 0.1269
Zn1 0.0000 0.2384 0.7500
Zn2 0.1589 0.4786 0.4970
O1 0.0374 0.1005 0.6031
O2 0.0523 0.3618 0.0886
O3 0.1493 0.1334 0.3533
O4 0.1979 0.3771 0.8545

[6]
# ZrMn3 | Materials Project | PBE | relaxed
# energy: -9.06 eV per atom
# E_form: -0.053 eV per atom
data_ZrMn3
_chemical_formula_sum 'Zr3 Mn9'
_cell_length_a 4.8704
_cell_length_b 4.8704
_cell_length_c 7.9894
_cell_angle_alpha 90.00
_cell_angle_beta 90.00
_cell_angle_gamma 120.00
_space_group_name_H-M_alt 'P 3 m 1'
_space_group_IT_number 156
_space_group_name_Hall 'P 3 -2"'
loop_
_atom_site_label
_atom_site_fract_x
_atom_site_fract_y
_atom_site_fract_z
Zr1 0.0000 0.0000 0.0000
Zr2 0.0000 0.0000 0.3818
Zr3 0.3333 0.6667 0.5203
Mn1 0.0104 0.5052 0.1895
Mn2 0.3256 0.1628 0.7046
Mn3 0.3333 0.6667 0.8768
Mn4 0.6667 0.3333 0.4498
Mn5 0.6667 0.3333 0.9476